{
  "formula": "La4Sm4Co7CuO20",
  "functional": "PBE+U",
  "state": "optimized geometry",
  "energy_mp2020_ev_per_cell": -1139.41,
  "formation_energy_ev_per_atom": -2.59,
  "spacegroup": "P1, No. 1",
  "lattice": [[10.8638, 0.0000, 0.0000], [-0.0050, 11.5288, 0.0000], [-5.4183, -5.7602, 15.6247]],
  "species": ["La", "La", "La", "La", "La", "La", "La", "La", "La", "La", "La", "La", "La", "La", "La", "La", "Sm", "Sm", "Sm", "Sm", "Sm", "Sm", "Sm", "Sm", "Sm", "Sm", "Sm", "Sm", "Sm", "Sm", "Sm", "Sm", "Co", "Co", "Co", "Co", "Co", "Co", "Co", "Co", "Co", "Co", "Co", "Co", "Co", "Co", "Co", "Co", "Co", "Co", "Co", "Co", "Co", "Co", "Co", "Co", "Co", "Co", "Co", "Co", "Cu", "Cu", "Cu", "Cu", "O", "O", "O", "O", "O", "O", "O", "O", "O", "O", "O", "O", "O", "O", "O", "O", "O", "O", "O", "O", "O", "O", "O", "O", "O", "O", "O", "O", "O", "O", "O", "O", "O", "O", "O", "O", "O", "O", "O", "O", "O", "O", "O", "O", "O", "O", "O", "O", "O", "O", "O", "O", "O", "O", "O", "O", "O", "O", "O", "O", "O", "O", "O", "O", "O", "O", "O", "O", "O", "O", "O", "O", "O", "O", "O", "O", "O", "O", "O", "O"],
  "fractional_positions": [[0.0000, 0.0000, 0.0000], [0.0005, 0.5010, 0.0024], [0.1131, 0.0923, 0.2265], [0.1160, 0.5911, 0.2272], [0.2485, 0.7293, 0.0006], [0.3591, 0.3605, 0.7220], [0.3630, 0.8623, 0.2268], [0.4975, 0.0005, 0.0002], [0.4993, 0.5012, 0.0029], [0.6111, 0.0922, 0.2264], [0.6165, 0.5918, 0.7227], [0.7493, 0.7294, 0.0022], [0.7512, 0.2297, 0.0005], [0.8621, 0.3634, 0.2263], [0.8615, 0.8635, 0.2268], [0.8626, 0.3605, 0.7227], [0.0043, 0.5049, 0.5036], [0.0096, 0.0050, 0.5064], [0.1115, 0.5891, 0.7205], [0.1170, 0.0847, 0.7233], [0.2523, 0.2286, 0.0034], [0.2550, 0.2256, 0.5041], [0.2568, 0.7294, 0.5049], [0.3623, 0.8641, 0.7203], [0.3632, 0.3638, 0.2231], [0.5078, 0.5028, 0.5012], [0.5085, 0.0055, 0.5042], [0.6111, 0.5874, 0.2247], [0.6160, 0.0847, 0.7200], [0.7547, 0.2250, 0.5037], [0.7572, 0.7259, 0.5023], [0.8660, 0.8656, 0.7202], [0.0506, 0.2947, 0.6114], [0.0523, 0.7965, 0.1140], [0.0533, 0.2960, 0.1142], [0.1987, 0.3868, 0.8607], [0.1998, 0.8919, 0.8621], [0.2013, 0.8895, 0.3650], [0.2048, 0.3930, 0.3676], [0.3010, 0.5447, 0.6107], [0.3025, 0.0471, 0.1144], [0.3024, 0.5451, 0.1136], [0.4453, 0.7010, 0.8597], [0.4476, 0.1993, 0.8626], [0.4521, 0.2050, 0.3663], [0.4543, 0.7008, 0.3661], [0.5514, 0.2955, 0.1136], [0.5512, 0.2955, 0.6106], [0.5522, 0.7950, 0.6107], [0.5518, 0.7957, 0.1146], [0.6976, 0.3860, 0.8600], [0.6979, 0.8910, 0.8591], [0.6986, 0.3912, 0.3636], [0.7006, 0.8877, 0.3635], [0.8018, 0.0460, 0.1135], [0.8021, 0.5466, 0.1152], [0.9489, 0.7023, 0.3643], [0.9515, 0.7039, 0.8626], [0.9526, 0.1984, 0.8628], [0.9533, 0.2037, 0.3685], [0.0539, 0.7943, 0.6115], [0.3048, 0.0439, 0.6116], [0.8039, 0.5452, 0.6112], [0.8054, 0.0428, 0.6114], [0.0907, 0.9184, 0.7615], [0.1080, 0.4080, 0.7510], [0.1100, 0.4078, 0.2565], [0.1109, 0.9060, 0.2540], [0.1382, 0.7229, 0.8576], [0.1404, 0.2221, 0.8625], [0.1407, 0.7257, 0.3689], [0.1421, 0.2291, 0.3693], [0.1674, 0.4059, 0.5897], [0.1698, 0.9111, 0.0949], [0.1727, 0.4059, 0.0946], [0.1733, 0.9069, 0.5967], [0.1877, 0.1774, 0.6275], [0.1892, 0.6813, 0.1315], [0.1890, 0.6867, 0.6346], [0.1913, 0.0195, 0.4633], [0.1923, 0.1868, 0.1339], [0.2035, 0.5227, 0.4720], [0.2172, 0.5156, 0.9710], [0.2201, 0.0193, 0.9732], [0.3409, 0.0706, 0.7617], [0.3452, 0.5735, 0.7524], [0.3600, 0.5738, 0.2552], [0.3611, 0.0759, 0.2561], [0.3850, 0.8650, 0.8570], [0.3874, 0.3648, 0.8619], [0.3915, 0.3704, 0.3633], [0.3912, 0.8668, 0.3687], [0.4179, 0.4113, 0.0962], [0.4196, 0.4130, 0.5886], [0.4195, 0.9144, 0.0947], [0.4204, 0.9157, 0.5928], [0.4363, 0.1816, 0.1333], [0.4367, 0.6790, 0.6296], [0.4409, 0.1725, 0.6287], [0.4422, 0.6744, 0.1350], [0.4523, 0.1795, 0.4706], [0.4546, 0.6814, 0.4727], [0.4592, 0.1866, 0.9733], [0.4662, 0.6850, 0.9713], [0.5928, 0.9084, 0.7513], [0.6012, 0.4073, 0.2537], [0.6045, 0.4078, 0.7519], [0.6095, 0.9072, 0.2535], [0.6321, 0.2194, 0.8562], [0.6346, 0.7280, 0.8623], [0.6409, 0.7211, 0.3632], [0.6422, 0.2281, 0.3694], [0.6694, 0.4102, 0.0969], [0.6700, 0.9096, 0.0953], [0.6719, 0.4053, 0.5895], [0.6728, 0.9076, 0.5935], [0.6872, 0.1792, 0.6260], [0.6874, 0.1820, 0.1311], [0.6873, 0.6807, 0.1338], [0.6923, 0.0189, 0.4622], [0.6924, 0.5220, 0.4627], [0.6936, 0.6830, 0.6290], [0.7162, 0.0172, 0.9702], [0.7162, 0.5135, 0.9707], [0.8408, 0.0722, 0.7616], [0.8493, 0.5764, 0.2553], [0.8541, 0.5716, 0.7611], [0.8610, 0.0779, 0.2568], [0.8837, 0.8645, 0.8564], [0.8874, 0.3628, 0.8628], [0.8894, 0.3682, 0.3686], [0.8916, 0.8707, 0.3696], [0.9199, 0.9149, 0.0950], [0.9211, 0.4144, 0.0973], [0.9224, 0.4193, 0.5941], [0.9252, 0.9130, 0.5968], [0.9383, 0.1781, 0.1314], [0.9386, 0.6772, 0.1322], [0.9396, 0.6740, 0.6280], [0.9430, 0.1697, 0.6307], [0.9451, 0.6728, 0.4648], [0.9547, 0.1817, 0.4746], [0.9704, 0.1857, 0.9741], [0.9704, 0.6867, 0.9730]]
}


{
  "formula": "SrMnO3",
  "functional": "PBE+U",
  "state": "optimized geometry",
  "energy_mp2020_ev_per_cell": -151.79,
  "formation_energy_ev_per_atom": -2.45,
  "lattice": [[-1.7487, 3.3678, -0.9132], [-1.0012, 1.7542, 8.3859], [5.7018, 3.8805, 3.3909]],
  "species": ["Sr", "Sr", "Sr", "Sr", "Mn", "Mn", "Mn", "Mn", "O", "O", "O", "O", "O", "O", "O", "O", "O", "O", "O", "O"],
  "fractional_positions": [[0.5000, 0.7501, 0.3750], [0.5000, 0.2499, 0.1250], [0.5000, 0.7501, 0.8750], [0.5000, 0.2499, 0.6250], [0.0000, 0.9995, 0.5002], [0.0000, 0.5005, 0.2498], [0.0000, 0.5005, 0.7498], [0.0000, 0.9995, 0.0002], [0.5000, 0.5001, 0.7499], [0.5000, 0.9999, 0.5001], [0.5000, 0.5001, 0.2499], [0.5000, 0.9999, 0.0001], [0.0000, 0.4998, 0.5001], [0.0000, 0.0002, 0.2499], [0.0000, 0.4998, 0.0001], [0.0000, 0.0002, 0.7499], [0.0000, 0.7500, 0.6250], [0.0000, 0.2500, 0.3750], [0.0000, 0.7500, 0.1250], [0.0000, 0.2500, 0.8750]]
}